## Tm2GaOs (r2SCAN)

Data for a relaxed structure of Tm2GaOs.

- energy relative to the elements (kJ/mol of formula units) = -195

Cell and atoms, written as CIF:
```
data_Tm2GaOs
_chemical_formula_sum 'Tm2 Ga1 Os1'
_space_group_name_H-M_alt 'P 1'
_space_group_IT_number 1
_cell_length_a 4.826
_cell_length_b 4.826
_cell_length_c 4.826
_cell_angle_alpha 60.00
_cell_angle_beta 60.00
_cell_angle_gamma 60.00
loop_
_space_group_symop_operation_xyz
'x,y,z'
loop_
_atom_site_label
_atom_site_fract_x
_atom_site_fract_y
_atom_site_fract_z
_atom_site_occupancy
Tm1 0.000 0.000 0.000 1
Tm2 0.500 0.500 0.500 1
Ga1 0.250 0.250 0.250 1
Os1 0.750 0.750 0.750 1
```



## Ta2MnOs (r2SCAN)

Data for a relaxed structure of Ta2MnOs.

- energy relative to the elements (kJ/mol of formula units) = -108

Cell and atoms, written as CIF:
```
data_Ta2MnOs
_chemical_formula_sum 'Ta2 Mn1 Os1'
_space_group_name_H-M_alt 'P 1'
_space_group_IT_number 1
_cell_length_a 4.411
_cell_length_b 4.411
_cell_length_c 4.411
_cell_angle_alpha 60.00
_cell_angle_beta 60.00
_cell_angle_gamma 60.00
loop_
_space_group_symop_operation_xyz
'x,y,z'
loop_
_atom_site_label
_atom_site_fract_x
_atom_site_fract_y
_atom_site_fract_z
_atom_site_occupancy
Ta1 0.000 0.000 0.000 1
Ta2 0.500 0.500 0.500 1
Mn1 0.250 0.250 0.250 1
Os1 0.750 0.750 0.750 1
```



## Tb3TlF10 (r2SCAN)

Data for a relaxed structure of Tb3TlF10.

- energy relative to the elements (kJ/mol of formula units) = -5588

Cell and atoms, written as CIF:
```
data_Tb3TlF10
_chemical_formula_sum 'Tb12 Tl4 F40'
_space_group_name_H-M_alt 'P 1'
_space_group_IT_number 1
_cell_length_a 8.225
_cell_length_b 8.225
_cell_length_c 13.417
_cell_angle_alpha 90.00
_cell_angle_beta 90.00
_cell_angle_gamma 120.00
loop_
_space_group_symop_operation_xyz
'x,y,z'
loop_
_atom_site_label
_atom_site_fract_x
_atom_site_fract_y
_atom_site_fract_z
_atom_site_occupancy
Tb1 0.174 0.348 0.726 1
Tb2 0.174 0.826 0.726 1
Tb3 0.826 0.652 0.226 1
Tb4 0.652 0.826 0.726 1
Tb5 0.826 0.174 0.226 1
Tb6 0.348 0.174 0.226 1
Tb7 0.506 0.012 0.986 1
Tb8 0.506 0.494 0.986 1
Tb9 0.494 0.988 0.486 1
Tb10 0.988 0.494 0.986 1
Tb11 0.494 0.506 0.486 1
Tb12 0.012 0.506 0.486 1
Tl1 0.667 0.333 0.732 1
Tl2 0.333 0.667 0.232 1
Tl3 0.000 0.000 0.980 1
Tl4 0.000 0.000 0.480 1
F1 0.184 0.367 0.550 1
F2 0.184 0.816 0.550 1
F3 0.816 0.633 0.050 1
F4 0.633 0.816 0.550 1
F5 0.816 0.184 0.050 1
F6 0.367 0.184 0.050 1
F7 0.667 0.333 0.942 1
F8 0.333 0.667 0.442 1
F9 0.667 0.333 0.276 1
F10 0.333 0.667 0.776 1
F11 0.778 0.556 0.522 1
F12 0.778 0.222 0.522 1
F13 0.222 0.444 0.022 1
F14 0.444 0.222 0.522 1
F15 0.222 0.778 0.022 1
F16 0.556 0.778 0.022 1
F17 0.890 0.780 0.691 1
F18 0.890 0.110 0.691 1
F19 0.110 0.220 0.191 1
F20 0.220 0.110 0.691 1
F21 0.110 0.890 0.191 1
F22 0.780 0.890 0.191 1
F23 0.662 0.664 0.855 1
F24 0.002 0.338 0.855 1
F25 0.338 0.336 0.355 1
F26 0.002 0.664 0.855 1
F27 0.336 0.998 0.855 1
F28 0.998 0.662 0.355 1
F29 0.336 0.338 0.855 1
F30 0.998 0.336 0.355 1
F31 0.664 0.002 0.355 1
F32 0.664 0.662 0.355 1
F33 0.662 0.998 0.855 1
F34 0.338 0.002 0.355 1
F35 0.479 0.958 0.660 1
F36 0.479 0.521 0.660 1
F37 0.521 0.042 0.160 1
F38 0.042 0.521 0.660 1
F39 0.521 0.479 0.160 1
F40 0.958 0.479 0.160 1
```



## Sc (r2SCAN)

Data for a relaxed structure of Sc.

- energy relative to the elements (kJ/mol of formula units) = 11

Cell and atoms, written as CIF:
```
data_Sc
_chemical_formula_sum 'Sc4'
_space_group_name_H-M_alt 'P 1'
_space_group_IT_number 1
_cell_length_a 3.682
_cell_length_b 5.228
_cell_length_c 5.228
_cell_angle_alpha 90.00
_cell_angle_beta 90.00
_cell_angle_gamma 90.00
loop_
_space_group_symop_operation_xyz
'x,y,z'
loop_
_atom_site_label
_atom_site_fract_x
_atom_site_fract_y
_atom_site_fract_z
_atom_site_occupancy
Sc1 0.000 0.250 0.750 1
Sc2 0.000 0.750 0.250 1
Sc3 0.500 0.250 0.250 1
Sc4 0.500 0.750 0.750 1
```